DFT (PBE) results for GdMgCd2 after structural relaxation.

The space group is Fm-3m (No. 225) and the conventional cell measures 7.2532, 7.2532 and 7.2532 Å, with angles of 90.00, 90.00 and 90.00 degrees. The inequivalent atoms are Gd at (0.0000, 0.0000, 0.0000), Mg at (0.0000, 0.0000, 0.5000) and Cd at (0.2500, 0.2500, 0.2500).

Its total energy is -4.6896 eV/atom. The energy of formation comes out at -309 meV/atom.